First-principles (GGA-PBE) data for crystalline CaTiP2O7 at its relaxed geometry, as listed in the Materials Project.

Cell and atoms, written as POSCAR:
```
CaTiP2O7
1.0
6.242 0.000 0.000
2.500 6.199 0.000
0.292 0.656 7.224
Ca Ti P O
2 2 4 14
direct
0.206 0.286 0.366
0.794 0.714 0.634
0.232 0.872 0.829
0.768 0.128 0.171
0.262 0.782 0.388
0.332 0.342 0.879
0.668 0.658 0.121
0.738 0.218 0.612
0.106 0.998 0.286
0.137 0.631 0.452
0.162 0.579 0.859
0.251 0.185 0.793
0.395 0.832 0.540
0.420 0.268 0.080
0.442 0.650 0.237
0.558 0.350 0.763
0.580 0.732 0.920
0.605 0.168 0.460
0.749 0.815 0.207
0.838 0.421 0.141
0.863 0.369 0.548
0.894 0.002 0.714
```

Properties
Energy above the lowest structure with this stoichiometry, meV per atom: 7
E_form, eV/atom: -2.89
Spin magnetization, μB/f.u.: 2.0